[1]
{"formula": "BiO2", "functional": "PBE", "state": "relaxed", "cell": [[3.7520, 0.0000, 0.0000], [-1.8760, 3.2493, 0.0000], [0.0000, 0.0000, 7.8064]], "species": ["Bi", "Bi", "O", "O", "O", "O"], "fractional_positions": [[0.3333, 0.6667, 0.2500], [0.6667, 0.3333, 0.7500], [0.3333, 0.6667, 0.6135], [0.3333, 0.6667, 0.8865], [0.6667, 0.3333, 0.1135], [0.6667, 0.3333, 0.3865]], "polymorph_energy_ev_per_atom": 0.484, "total_magnetization_mub_per_cell": 2.003, "space_group": "P6_3/mmc, No. 194"}

***

[2]
{"formula": "Bi2O3", "functional": "PBE", "state": "relaxed", "cell": [[5.5889, 0.0000, 0.0000], [0.0000, 5.5889, 0.0000], [0.0000, 0.0000, 5.5889]], "species": ["Bi", "Bi", "Bi", "Bi", "O", "O", "O", "O", "O", "O"], "fractional_positions": [[0.0000, 0.0000, 0.0000], [0.0000, 0.5000, 0.5000], [0.5000, 0.0000, 0.5000], [0.5000, 0.5000, 0.0000], [0.2500, 0.2500, 0.7500], [0.2500, 0.7500, 0.2500], [0.2500, 0.7500, 0.7500], [0.7500, 0.2500, 0.2500], [0.7500, 0.2500, 0.7500], [0.7500, 0.7500, 0.2500]], "total_magnetization_mub_per_cell": 0.003, "space_group": "Pn-3m, No. 224"}

***

[3]
{"formula": "Bi2O3", "functional": "PBE", "state": "relaxed", "cell": [[7.9162, 0.0000, 0.0000], [0.0000, 7.9162, 0.0000], [0.0000, 0.0000, 5.5922]], "species": ["Bi", "Bi", "Bi", "Bi", "Bi", "Bi", "Bi", "Bi", "O", "O", "O", "O", "O", "O", "O", "O", "O", "O", "O", "O"], "fractional_positions": [[0.0074, 0.2507, 0.2510], [0.2493, 0.4926, 0.7490], [0.2507, 0.9926, 0.7490], [0.4926, 0.7507, 0.2510], [0.5074, 0.2493, 0.2510], [0.7493, 0.0074, 0.7490], [0.7507, 0.5074, 0.7490], [0.9926, 0.7493, 0.2510], [0.0000, 0.0000, 0.0000], [0.0000, 0.5000, 0.5000], [0.2447, 0.2553, 0.0000], [0.2485, 0.2515, 0.5000], [0.2515, 0.7515, 0.5000], [0.2553, 0.7553, 0.0000], [0.5000, 0.0000, 0.5000], [0.5000, 0.5000, 0.0000], [0.7447, 0.2447, 0.0000], [0.7485, 0.2485, 0.5000], [0.7515, 0.7485, 0.5000], [0.7553, 0.7447, 0.0000]], "total_magnetization_mub_per_cell": 0.000, "space_group": "P-4b2, No. 117"}

***

[4]
{"formula": "Bi2O3", "functional": "PBE", "state": "relaxed", "cell": [[4.0769, 2.3538, 3.4459], [-4.0769, 2.3538, 3.4459], [0.0000, -4.7076, 3.4459]], "species": ["Bi", "Bi", "Bi", "Bi", "O", "O", "O", "O", "O", "O"], "fractional_positions": [[0.0000, 0.0000, 0.0000], [0.0369, 0.5249, 0.5249], [0.5249, 0.0369, 0.5249], [0.5249, 0.5249, 0.0369], [0.1607, 0.7654, 0.7654], [0.2687, 0.2687, 0.6595], [0.2687, 0.6595, 0.2687], [0.6595, 0.2687, 0.2687], [0.7654, 0.1607, 0.7654], [0.7654, 0.7654, 0.1607]], "space_group": "R3m, No. 160"}

***

[5]
{"formula": "BiO2", "functional": "PBE", "state": "relaxed", "cell": [[-3.3220, 3.6688, 4.9772], [3.3220, -3.6688, 4.9772], [3.3220, 3.6688, -4.9772]], "species": ["Bi", "Bi", "Bi", "Bi", "O", "O", "O", "O", "O", "O", "O", "O"], "fractional_positions": [[0.0000, 0.0000, 0.0000], [0.5000, 0.0000, 0.0000], [0.5000, 0.0000, 0.5000], [0.5000, 0.5000, 0.5000], [0.2876, 0.2667, 0.4791], [0.2876, 0.8085, 0.0209], [0.2950, 0.2424, 0.0526], [0.3102, 0.7576, 0.5526], [0.6898, 0.2424, 0.4474], [0.7050, 0.7576, 0.9474], [0.7124, 0.1915, 0.9791], [0.7124, 0.7333, 0.5209]], "polymorph_energy_ev_per_atom": 0.186, "total_magnetization_mub_per_cell": 0.000, "space_group": "Imma, No. 74"}

***

[6]
{"formula": "BiO2", "functional": "PBE", "state": "relaxed", "cell": [[6.2760, -2.6408, 0.0000], [6.2760, 2.6408, 0.0000], [-1.7596, 0.0000, 5.3976]], "species": ["Bi", "Bi", "Bi", "Bi", "O", "O", "O", "O", "O", "O", "O", "O"], "fractional_positions": [[0.0000, 0.5000, 0.0000], [0.2291, 0.7709, 0.7500], [0.5000, 0.0000, 0.5000], [0.7709, 0.2291, 0.2500], [0.0067, 0.1787, 0.9783], [0.1787, 0.0067, 0.4783], [0.2636, 0.3851, 0.3499], [0.3851, 0.2636, 0.8499], [0.6149, 0.7364, 0.1501], [0.7364, 0.6149, 0.6501], [0.8213, 0.9933, 0.5217], [0.9933, 0.8213, 0.0217]], "polymorph_energy_ev_per_atom": 0.000, "space_group": "C2/c, No. 15"}

***

[7]
{"formula": "BiO2", "functional": "PBE", "state": "relaxed", "cell": [[-3.5591, 3.6717, 3.6523], [3.5591, -3.6717, 3.6523], [3.5591, 3.6717, -3.6523]], "species": ["Bi", "Bi", "Bi", "Bi", "O", "O", "O", "O", "O", "O", "O", "O"], "fractional_positions": [[0.0000, 0.0000, 0.5000], [0.0000, 0.5000, 0.0000], [0.4935, 0.2435, 0.2500], [0.5065, 0.7565, 0.7500], [0.1816, 0.2414, 0.9402], [0.1988, 0.7586, 0.4402], [0.3068, 0.3140, 0.5072], [0.3068, 0.7997, 0.9928], [0.6932, 0.2003, 0.0072], [0.6932, 0.6860, 0.4928], [0.8012, 0.2414, 0.5598], [0.8184, 0.7586, 0.0598]], "polymorph_energy_ev_per_atom": 0.021, "total_magnetization_mub_per_cell": 0.003, "space_group": "Imma, No. 74"}

***

[8]
{"formula": "Bi2O3", "functional": "PBE", "state": "relaxed", "cell": [[7.7728, 0.0000, 0.0000], [-3.8864, 6.7314, 0.0000], [0.0000, 0.0000, 6.0130]], "species": ["Bi", "Bi", "Bi", "Bi", "Bi", "Bi", "Bi", "Bi", "O", "O", "O", "O", "O", "O", "O", "O", "O", "O", "O", "O"], "fractional_positions": [[0.1751, 0.3503, 0.0000], [0.1751, 0.8249, 0.0000], [0.3333, 0.6667, 0.4944], [0.3503, 0.1751, 0.5000], [0.6497, 0.8249, 0.0000], [0.6667, 0.3333, 0.9944], [0.8249, 0.1751, 0.5000], [0.8249, 0.6497, 0.5000], [0.0768, 0.5384, 0.2743], [0.1286, 0.2571, 0.6112], [0.1286, 0.8714, 0.6112], [0.2571, 0.1286, 0.1112], [0.4616, 0.5384, 0.2743], [0.4616, 0.9232, 0.2743], [0.5384, 0.0768, 0.7743], [0.5384, 0.4616, 0.7743], [0.7429, 0.8714, 0.6112], [0.8714, 0.1286, 0.1112], [0.8714, 0.7429, 0.1112], [0.9232, 0.4616, 0.7743]], "space_group": "P6_3mc, No. 186"}

***

no.,energy relative to the elements (eV per atom),DFT total energy (eV per cell)
1,-0.976,-30.7
2,-1.280,-53.9
3,-1.284,-107.9
4,-1.551,-56.6
5,-1.274,-64.9
6,-1.460,-67.2
7,-1.439,-66.9
8,-1.581,-113.9